# 1
DFT (GGA-PBE) results for an optimized crystal structure of La2C2S2O15.

Computed properties:
SG: No. 14
MP2020-corrected energy in Ha/atom: -0.262
Total magnetization in μB/f.u.: 1.8
DFT formation energy in eV/atom: -1.85

```
84
Lattice="-2.215 9.426 2.191 1.176 -1.973 9.675 13.142 1.759 5.719" Properties=species:S:1:pos:R:3 pbc="T T T"
La -0.137 6.471 4.081
La 6.269 8.053 7.104
La 12.240 2.741 13.503
La 5.834 1.159 10.481
La 1.393 8.264 8.654
La 8.857 5.345 10.631
La 10.709 0.948 8.930
La 3.246 3.867 6.954
C -1.359 7.977 6.484
C 6.043 5.320 8.521
C 13.462 1.236 11.100
C 6.059 3.893 9.063
C 0.197 3.795 6.185
C 7.858 0.036 7.966
C 11.906 5.417 11.400
C 4.245 9.176 9.619
S 2.758 5.159 10.421
S 8.944 7.677 13.661
S 9.344 4.054 7.163
S 3.158 1.535 3.923
S 9.554 8.509 8.644
S 3.166 6.851 5.604
S 2.549 0.703 8.940
S 8.937 2.361 11.981
O -0.210 7.456 6.640
O 6.873 6.159 8.993
O 12.313 1.756 10.944
O 5.230 3.053 8.591
O 11.055 9.534 11.183
O 5.202 5.600 7.614
O 1.047 -0.322 6.401
O 6.901 3.612 9.970
O 0.887 4.757 5.745
O 6.629 9.166 9.425
O 11.216 4.455 11.839
O 5.474 0.046 8.159
O 0.624 2.933 7.014
O 7.959 0.562 9.117
O 11.479 6.279 10.571
O 4.144 8.650 8.467
O 1.196 4.635 2.896
O 8.790 1.163 4.744
O 10.907 4.577 14.688
O 3.313 8.049 12.840
O -0.005 6.129 9.174
O 6.745 6.250 11.857
O 12.107 3.084 8.410
O 5.358 2.962 5.727
O 0.402 9.189 3.616
O 7.860 6.294 5.598
O 11.700 0.023 13.968
O 4.242 2.918 11.986
O 1.811 4.710 11.485
O 8.006 7.190 14.716
O 10.292 4.502 6.099
O 4.097 2.022 2.868
O 2.452 4.406 9.173
O 8.226 8.674 12.820
O 9.651 4.806 8.411
O 3.876 0.538 4.764
O 4.165 4.939 10.838
O 10.159 8.274 14.268
O 7.938 4.273 6.746
O 1.944 0.938 3.316
O 2.529 6.610 10.184
O 9.330 6.513 12.817
O 9.573 2.602 7.400
O 2.773 2.699 4.768
O 10.962 8.165 8.358
O 4.260 7.844 5.629
O 1.141 1.047 9.226
O 7.843 1.368 11.956
O 9.099 7.835 9.921
O 2.596 6.665 6.994
O 3.003 1.378 7.664
O 9.506 2.547 10.590
O 8.680 8.098 7.520
O 2.094 7.282 4.676
O 3.422 1.114 10.064
O 10.008 1.930 12.908
O 9.411 9.981 8.866
O 3.682 5.515 5.173
O 2.692 -0.769 8.718
O 8.420 3.697 12.411
```

# 2
DFT (GGA-PBE) results for an optimized crystal structure of La7Os4C9.

Computed properties:
SG: No. 12
DFT formation energy in eV/atom: -0.28

```
20
Lattice="2.715 6.016 0.000 -2.715 6.016 0.000 0.000 4.271 11.215" Properties=species:S:1:pos:R:3 pbc="T T T"
La 0.000 8.094 9.453
La 0.000 4.669 7.617
La 0.000 11.634 3.598
La 0.000 3.283 4.290
La 0.000 13.021 6.925
La 0.000 0.000 0.000
La 0.000 8.209 1.762
Os 0.000 4.906 1.584
Os 0.000 9.252 6.406
Os 0.000 7.052 4.809
Os 0.000 11.397 9.631
C 0.000 5.869 3.260
C 0.000 14.597 9.199
C 0.000 7.333 6.869
C 0.000 2.976 1.621
C 0.000 13.327 9.594
C 0.000 6.016 0.000
C 0.000 1.706 2.016
C 0.000 10.435 7.955
C 0.000 8.970 4.345
```

# 3
DFT (GGA-PBE) results for an optimized crystal structure of La3PbC.

Computed properties:
SG: No. 221
DFT formation energy in eV/atom: -0.43

```
5
Lattice="-3.454 -2.433 -3.102 3.393 -3.934 -0.692 -2.007 -2.464 4.168" Properties=species:S:1:pos:R:3 pbc="T T T"
La -2.731 -2.449 0.533
La 0.693 -3.199 1.738
La -0.030 -3.184 -1.897
Pb 0.000 0.000 0.000
C -1.034 -4.416 0.187
```

# 4
DFT (GGA-PBE) results for an optimized crystal structure of LaPd3C.

Computed properties:
SG: No. 221
Total magnetization in μB/f.u.: 0.0
DFT formation energy in eV/atom: -0.19

```
5
Lattice="-1.986 -1.221 -3.713 -3.655 -0.897 2.250 -1.386 4.115 -0.612" Properties=species:S:1:pos:R:3 pbc="T T T"
La 0.000 0.000 0.000
Pd -2.521 1.609 0.819
Pd -2.821 -1.059 -0.732
Pd -1.686 1.447 -2.163
C -3.514 0.998 -1.037
```

# 5
DFT (GGA-PBE) results for an optimized crystal structure of LaPt3C.

Computed properties:
SG: No. 221
Total magnetization in μB/f.u.: 0.0
DFT formation energy in eV/atom: -0.22

```
5
Lattice="4.407 0.000 0.000 0.000 4.407 0.000 0.000 0.000 4.407" Properties=species:S:1:pos:R:3 pbc="T T T"
La 0.000 0.000 0.000
Pt 0.000 2.203 2.203
Pt 2.203 2.203 0.000
Pt 2.203 0.000 2.203
C 2.203 2.203 2.203
```

# 6
DFT (GGA-PBE) results for an optimized crystal structure of La12Re5C15.

Computed properties:
SG: No. 189
DFT formation energy in eV/atom: -0.25

```
32
Lattice="4.583 0.147 10.245 -5.559 -9.090 -3.532 4.638 -2.041 -2.046" Properties=species:S:1:pos:R:3 pbc="T T T"
La 5.962 -0.904 7.119
La -2.099 -8.245 -3.830
La 2.119 -2.856 0.355
La -1.302 -4.118 1.158
La -2.034 -7.313 2.687
La 0.592 -2.393 3.730
La -3.198 -6.602 -0.663
La 0.711 -4.813 6.416
La 2.305 -1.590 6.813
La 4.244 -0.959 3.280
La -0.016 -4.838 -2.506
La 1.753 -6.208 2.871
Re 0.700 0.022 1.565
Re -0.849 -1.388 -0.540
Re -0.826 -7.577 5.688
Re 0.141 -7.032 0.037
Re 3.522 -3.953 4.630
C 1.491 0.048 3.333
C -1.808 -2.957 -1.149
C -0.658 -6.034 4.529
C 3.655 0.117 8.169
C -4.432 -7.248 -2.816
C -0.198 -1.812 1.360
C 2.047 0.065 4.575
C -2.482 -4.059 -1.577
C -0.540 -4.950 3.716
C 0.984 -5.327 0.247
C 0.205 -8.311 1.458
C 2.906 -3.576 2.858
C -0.765 -7.457 -1.593
C 3.134 -5.643 5.438
C 4.525 -2.639 5.593
```

Question: Which of these has the lowest DFT formation energy?
Answer: La2C2S2O15